1.
# Na6Ni2AsC4O16

Crystalline Na6Ni2AsC4O16 at its relaxed geometry (GGA+U, the Materials Project database).

Summary:
The crystal system is cubic. The energy of formation from the pure elements comes out at -1.84 eV/atom.

Cell lengths 9.8880, 9.8880, 9.8880 Å; angles 60.00, 60.00, 60.00 degrees
With the nearest neighbours (Å) after each atom.
Fractional positions:
1 Na 0.0902 0.0902 0.6598  6 O 2.40-2.48
2 Na 0.0902 0.6598 0.0902  6 O 2.40-2.48
3 Na 0.0902 0.6598 0.6598  6 O 2.40-2.48
4 Na 0.3402 0.3402 0.9098  6 O 2.40-2.48
5 Na 0.3402 0.9098 0.3402  6 O 2.40-2.48
6 Na 0.3402 0.9098 0.9098  6 O 2.40-2.48
7 Na 0.6598 0.0902 0.0902  6 O 2.40-2.48
8 Na 0.6598 0.0902 0.6598  6 O 2.40-2.48
9 Na 0.6598 0.6598 0.0902  6 O 2.40-2.48
10 Na 0.9098 0.3402 0.3402  6 O 2.40-2.48
11 Na 0.9098 0.3402 0.9098  6 O 2.40-2.48
12 Na 0.9098 0.9098 0.3402  6 O 2.40-2.48
13 Ni 0.0000 0.5000 0.5000  6 O 2.09
14 Ni 0.5000 0.0000 0.5000  6 O 2.09
15 Ni 0.5000 0.5000 0.0000  6 O 2.09
16 Ni 0.5000 0.5000 0.5000  6 O 2.09
17 As 0.1250 0.1250 0.1250  4 O 1.72
18 As 0.8750 0.8750 0.8750  4 O 1.72
19 C 0.2842 0.2842 0.2842  3 O 1.30
20 C 0.2842 0.2842 0.6474  3 O 1.30
21 C 0.2842 0.6474 0.2842  3 O 1.30
22 C 0.3526 0.7158 0.7158  3 O 1.30
23 C 0.6474 0.2842 0.2842  3 O 1.30
24 C 0.7158 0.3526 0.7158  3 O 1.30
25 C 0.7158 0.7158 0.3526  3 O 1.30
26 C 0.7158 0.7158 0.7158  3 O 1.30
27 O 0.0540 0.0540 0.0540  1 As 1.72
28 O 0.0540 0.0540 0.3380  1 As 1.72
29 O 0.0540 0.3380 0.0540  1 As 1.72
30 O 0.1414 0.3082 0.6504  1 C 1.30
31 O 0.1414 0.4000 0.3082  1 C 1.30
32 O 0.1414 0.6504 0.4000  1 C 1.30
33 O 0.3082 0.1414 0.4000  1 C 1.30
34 O 0.3082 0.4000 0.6504  1 C 1.30
35 O 0.3082 0.6504 0.1414  1 C 1.30
36 O 0.3380 0.0540 0.0540  1 As 1.72
37 O 0.3496 0.6000 0.8586  1 C 1.30
38 O 0.3496 0.6918 0.6000  1 C 1.30
39 O 0.3496 0.8586 0.6918  1 C 1.30
40 O 0.4000 0.1414 0.6504  1 C 1.30
41 O 0.4000 0.3082 0.1414  1 C 1.30
42 O 0.4000 0.6504 0.3082  1 C 1.30
43 O 0.6000 0.3496 0.6918  1 C 1.30
44 O 0.6000 0.6918 0.8586  1 C 1.30
45 O 0.6000 0.8586 0.3496  1 C 1.30
46 O 0.6504 0.1414 0.3082  1 C 1.30
47 O 0.6504 0.3082 0.4000  1 C 1.30
48 O 0.6504 0.4000 0.1414  1 C 1.30
49 O 0.6620 0.9460 0.9460  1 As 1.72
50 O 0.6918 0.3496 0.8586  1 C 1.30
51 O 0.6918 0.6000 0.3496  1 C 1.30
52 O 0.6918 0.8586 0.6000  1 C 1.30
53 O 0.8586 0.3496 0.6000  1 C 1.30
54 O 0.8586 0.6000 0.6918  1 C 1.30
55 O 0.8586 0.6918 0.3496  1 C 1.30
56 O 0.9460 0.6620 0.9460  1 As 1.72
57 O 0.9460 0.9460 0.6620  1 As 1.72
58 O 0.9460 0.9460 0.9460  1 As 1.72

***

2.
# Na5Ni2AsC4O16

Crystalline Na5Ni2AsC4O16 at its relaxed geometry (GGA+U, the Materials Project database).

Summary:
The energy relative to the lowest polymorph listed for this composition comes out at 0.00 eV per formula unit. The crystal system is monoclinic. The energy of formation from the pure elements comes out at -1.77 eV/atom.

Cell lengths 9.9700, 9.9700, 9.9012 Å; angles 119.66, 119.66, 90.54 degrees
With the nearest neighbours (Å) after each atom.
Fractional positions:
1 Na 0.0896 0.9104 0.7500  6 O 2.44-2.51
2 Na 0.0953 0.3502 0.1829  6 O 2.38-2.54
3 Na 0.0963 0.3516 0.7630  6 O 2.38-2.56
4 Na 0.3502 0.0953 0.6829  6 O 2.38-2.54
5 Na 0.3516 0.0963 0.2630  6 O 2.38-2.56
6 Na 0.6484 0.9037 0.7370  6 O 2.38-2.56
7 Na 0.6498 0.9047 0.3171  6 O 2.38-2.54
8 Na 0.9037 0.6484 0.2370  6 O 2.38-2.56
9 Na 0.9047 0.6498 0.8171  6 O 2.38-2.54
10 Na 0.9104 0.0896 0.2500  6 O 2.44-2.51
11 Ni 0.0000 0.5000 0.5000  6 O 2.08-2.09
12 Ni 0.5000 0.0000 0.0000  6 O 2.08-2.09
13 Ni 0.5000 0.5000 0.0000  6 O 2.06-2.11
14 Ni 0.5000 0.5000 0.5000  6 O 2.06-2.11
15 As 0.1271 0.8729 0.2500  4 O 1.72-1.73
16 As 0.8729 0.1271 0.7500  4 O 1.72-1.73
17 C 0.2825 0.3568 0.5684  3 O 1.29-1.30
18 C 0.2863 0.7139 0.5742  3 O 1.29-1.30
19 C 0.2861 0.7137 0.9258  3 O 1.29-1.30
20 C 0.3568 0.2825 0.0684  3 O 1.29-1.30
21 C 0.6432 0.7175 0.9316  3 O 1.29-1.30
22 C 0.7139 0.2863 0.0742  3 O 1.29-1.30
23 C 0.7137 0.2861 0.4258  3 O 1.29-1.30
24 C 0.7175 0.6432 0.4316  3 O 1.29-1.30
25 O 0.0463 0.6627 0.1061  1 As 1.72
26 O 0.0560 0.9431 0.1073  1 As 1.73
27 O 0.0569 0.9440 0.3927  1 As 1.73
28 O 0.1397 0.3529 0.4524  1 C 1.30
29 O 0.1417 0.6899 0.5410  1 C 1.30
30 O 0.1428 0.6016 0.7902  1 C 1.30
31 O 0.3082 0.3531 0.7077  1 C 1.29
32 O 0.3101 0.8583 0.9590  1 C 1.30
33 O 0.3129 0.5958 0.4654  1 C 1.29
34 O 0.3373 0.9537 0.3939  1 As 1.72
35 O 0.3529 0.1397 0.9524  1 C 1.30
36 O 0.3531 0.3082 0.2077  1 C 1.29
37 O 0.3543 0.3946 0.0387  1 C 1.29
38 O 0.3946 0.3543 0.5387  1 C 1.29
39 O 0.3984 0.8572 0.7098  1 C 1.30
40 O 0.4042 0.6871 0.0346  1 C 1.29
41 O 0.5958 0.3129 0.9654  1 C 1.29
42 O 0.6016 0.1428 0.2902  1 C 1.30
43 O 0.6054 0.6457 0.4613  1 C 1.29
44 O 0.6457 0.6054 0.9613  1 C 1.29
45 O 0.6469 0.6918 0.7923  1 C 1.29
46 O 0.6471 0.8603 0.0476  1 C 1.30
47 O 0.6627 0.0463 0.6061  1 As 1.72
48 O 0.6871 0.4042 0.5346  1 C 1.29
49 O 0.6899 0.1417 0.0410  1 C 1.30
50 O 0.6918 0.6469 0.2923  1 C 1.29
51 O 0.8572 0.3984 0.2098  1 C 1.30
52 O 0.8583 0.3101 0.4590  1 C 1.30
53 O 0.8603 0.6471 0.5476  1 C 1.30
54 O 0.9431 0.0560 0.6073  1 As 1.73
55 O 0.9440 0.0569 0.8927  1 As 1.73
56 O 0.9537 0.3373 0.8939  1 As 1.72

***

3.
# Na2VAsCO7

Crystalline Na2VAsCO7 at its relaxed geometry (GGA+U, the Materials Project database).

Summary:
The energy of formation from the pure elements comes out at -2.13 eV/atom.

Cell lengths 6.7610, 10.7354, 10.5109 Å; angles 118.91, 90.00, 90.00 degrees
With the nearest neighbours (Å) after each atom.
Fractional positions:
1 Na 0.4997 0.2277 0.2173  4 O 2.27-2.49
2 Na 0.4997 0.7278 0.2173  4 O 2.27-2.49
3 Na 0.0003 0.2277 0.2173  4 O 2.27-2.49
4 Na 0.0003 0.7278 0.2173  4 O 2.27-2.49
5 Na 0.5003 0.7723 0.7827  4 O 2.27-2.49
6 Na 0.5003 0.2722 0.7827  4 O 2.27-2.49
7 Na 0.9997 0.7723 0.7827  4 O 2.27-2.49
8 Na 0.9997 0.2722 0.7827  4 O 2.27-2.49
9 V 0.7500 0.0688 0.3444  6 O 2.02-2.10
10 V 0.2500 0.9311 0.6555  6 O 2.02-2.10
11 V 0.7500 0.5688 0.3444  6 O 2.02-2.10
12 V 0.2500 0.4312 0.6556  6 O 2.02-2.10
13 As 0.2500 0.5662 0.4231  4 O 1.72-1.73
14 As 0.2500 0.0662 0.4232  4 O 1.72-1.73
15 As 0.7500 0.4338 0.5769  4 O 1.72-1.73
16 As 0.7500 0.9337 0.5768  4 O 1.72-1.73
17 C 0.7500 0.4014 0.0772  3 O 1.26-1.33
18 C 0.7500 0.9014 0.0772  3 O 1.26-1.33
19 C 0.2500 0.5986 0.9228  3 O 1.26-1.33
20 C 0.2500 0.0986 0.9228  3 O 1.26-1.33
21 O 0.2500 0.1844 0.0567  1 C 1.26
22 O 0.2500 0.6844 0.0567  1 C 1.26
23 O 0.7500 0.8157 0.9433  1 C 1.26
24 O 0.7500 0.3156 0.9433  1 C 1.26
25 O 0.7500 0.5408 0.1336  1 C 1.32
26 O 0.7500 0.0408 0.1336  1 C 1.32
27 O 0.2500 0.4592 0.8664  1 C 1.32
28 O 0.2500 0.9592 0.8664  1 C 1.32
29 O 0.7500 0.3597 0.1777  1 C 1.33
30 O 0.7500 0.8597 0.1778  1 C 1.33
31 O 0.2500 0.6403 0.8222  1 C 1.33
32 O 0.2500 0.1402 0.8222  1 C 1.33
33 O 0.7500 0.2798 0.4108  1 As 1.73
34 O 0.7500 0.7798 0.4107  1 As 1.73
35 O 0.2500 0.7202 0.5892  1 As 1.73
36 O 0.2500 0.2202 0.5893  1 As 1.73
37 O 0.2500 0.4197 0.4501  1 As 1.73
38 O 0.2500 0.9197 0.4501  1 As 1.73
39 O 0.7500 0.5803 0.5499  1 As 1.73
40 O 0.7500 0.0803 0.5499  1 As 1.73
41 O 0.0473 0.5598 0.3217  1 As 1.72
42 O 0.0473 0.0598 0.3218  1 As 1.72
43 O 0.4527 0.5598 0.3217  1 As 1.72
44 O 0.4527 0.0598 0.3218  1 As 1.72
45 O 0.5473 0.4402 0.6782  1 As 1.72
46 O 0.5473 0.9402 0.6782  1 As 1.72
47 O 0.9527 0.4402 0.6782  1 As 1.72
48 O 0.9527 0.9402 0.6782  1 As 1.72

***

4.
# NaVAsCO7

Crystalline NaVAsCO7 at its relaxed geometry (GGA+U, the Materials Project database).

Summary:
The crystal system is monoclinic. The energy of formation from the pure elements comes out at -2.00 eV/atom.

Cell lengths 5.5139, 6.5064, 9.4544 Å; angles 90.00, 93.25, 90.00 degrees
With the nearest neighbours (Å) after each atom.
Fractional positions:
1 Na 0.2245 0.0000 0.2967  3 O 2.25-2.38
2 Na 0.7755 0.5000 0.7033  3 O 2.25-2.38
3 V 0.2106 0.7750 0.8338  6 O 1.83-2.01
4 V 0.7894 0.2750 0.1662  6 O 1.83-2.01
5 As 0.2804 0.2684 0.9443  4 O 1.70-1.74
6 As 0.7196 0.7684 0.0557  4 O 1.70-1.74
7 C 0.2846 0.7489 0.5851  3 O 1.23-1.34
8 C 0.7154 0.2489 0.4149  3 O 1.23-1.34
9 O 0.0649 0.7512 0.6396  1 C 1.34
10 O 0.1254 0.2527 0.0946  1 As 1.70
11 O 0.1951 0.4659 0.8337  1 As 1.71
12 O 0.2095 0.0567 0.8366  1 As 1.74, 1 V 1.83
13 O 0.3232 0.7563 0.4586  1 C 1.23
14 O 0.4112 0.7618 0.0180  1 As 1.72
15 O 0.4561 0.7416 0.6918  1 C 1.34
16 O 0.5439 0.2416 0.3082  1 C 1.34
17 O 0.5888 0.2618 0.9820  1 As 1.72
18 O 0.6768 0.2563 0.5414  1 C 1.23
19 O 0.7905 0.5567 0.1634  1 As 1.74, 1 V 1.83
20 O 0.8049 0.9659 0.1663  1 As 1.71
21 O 0.8746 0.7527 0.9054  1 As 1.70
22 O 0.9351 0.2512 0.3604  1 C 1.34